Material: Sm2Zn17
Method: DFT, PBE
State: relaxed

Values from the calculation:
The formation energy comes out at -258 meV/atom.

a = 9.045 Å, b = 9.045 Å, c = 8.733 Å
α = 90.00°, β = 90.00°, γ = 120.00°
Element x y z (fractional)
Sm 0.000 0.000 0.250
Sm 0.000 0.000 0.750
Sm 0.333 0.667 0.750
Sm 0.667 0.333 0.250
Zn 0.333 0.667 0.401
Zn 0.667 0.333 0.599
Zn 0.667 0.333 0.901
Zn 0.333 0.667 0.099
Zn 0.500 0.500 0.500
Zn 0.500 0.000 0.500
Zn 0.000 0.500 0.500
Zn 0.500 0.500 0.000
Zn 0.500 0.000 0.000
Zn 0.000 0.500 0.000
Zn 0.329 0.366 0.250
Zn 0.634 0.963 0.250
Zn 0.037 0.671 0.250
Zn 0.634 0.671 0.250
Zn 0.037 0.366 0.250
Zn 0.329 0.963 0.250
Zn 0.671 0.634 0.750
Zn 0.366 0.037 0.750
Zn 0.963 0.329 0.750
Zn 0.366 0.329 0.750
Zn 0.963 0.634 0.750
Zn 0.671 0.037 0.750
Zn 0.162 0.838 0.518
Zn 0.162 0.323 0.518
Zn 0.677 0.838 0.518
Zn 0.838 0.162 0.482
Zn 0.838 0.677 0.482
Zn 0.323 0.162 0.482
Zn 0.838 0.162 0.018
Zn 0.838 0.677 0.018
Zn 0.323 0.162 0.018
Zn 0.162 0.838 0.982
Zn 0.162 0.323 0.982
Zn 0.677 0.838 0.982